Entry 1:
{"formula": "Na3GaSiSnP2O12", "functional": "PBE", "state": "relaxed", "formation_enthalpy_0k_ev_per_atom": -2.558, "final_energy_ev_per_atom": -6.48, "polymorph_energy_ev_per_atom": 0.002, "cell": [[12.813, 0.000, -8.609], [0.000, 8.909, 0.000], [-0.157, 0.000, 8.927]], "species": ["O", "O", "O", "O", "O", "O", "O", "O", "O", "O", "O", "O", "O", "O", "O", "O", "O", "O", "O", "O", "O", "O", "O", "O", "O", "O", "O", "O", "O", "O", "O", "O", "O", "O", "O", "O", "O", "O", "O", "O", "O", "O", "O", "O", "O", "O", "O", "O", "Na", "Na", "Na", "Na", "Na", "Na", "Na", "Na", "Na", "Na", "Na", "Na", "Ga", "Ga", "Ga", "Ga", "P", "P", "P", "P", "P", "P", "P", "P", "Sn", "Sn", "Sn", "Sn", "Si", "Si", "Si", "Si"], "frac_coords": [[0.245, 0.315, 0.760], [0.636, 0.147, 0.413], [0.848, 0.636, 0.082], [0.582, 0.641, 0.246], [0.422, 0.346, 0.753], [0.147, 0.581, 0.738], [0.043, 0.672, 0.056], [0.847, 0.568, 0.761], [0.348, 0.864, 0.582], [0.245, 0.685, 0.260], [0.136, 0.353, 0.913], [0.432, 0.549, 0.581], [0.566, 0.553, 0.930], [0.922, 0.846, 0.753], [0.253, 0.167, 0.244], [0.847, 0.432, 0.261], [0.932, 0.951, 0.081], [0.348, 0.136, 0.082], [0.543, 0.828, 0.556], [0.452, 0.830, 0.932], [0.582, 0.359, 0.746], [0.422, 0.654, 0.253], [0.636, 0.853, 0.913], [0.932, 0.049, 0.581], [0.432, 0.451, 0.081], [0.253, 0.833, 0.744], [0.753, 0.667, 0.244], [0.082, 0.141, 0.246], [0.066, 0.053, 0.930], [0.922, 0.154, 0.253], [0.566, 0.447, 0.430], [0.082, 0.859, 0.746], [0.043, 0.328, 0.556], [0.066, 0.947, 0.430], [0.347, 0.068, 0.761], [0.647, 0.081, 0.738], [0.745, 0.815, 0.760], [0.952, 0.670, 0.432], [0.952, 0.330, 0.932], [0.347, 0.932, 0.261], [0.647, 0.919, 0.238], [0.543, 0.172, 0.056], [0.745, 0.185, 0.260], [0.848, 0.364, 0.582], [0.147, 0.419, 0.238], [0.452, 0.170, 0.432], [0.136, 0.647, 0.413], [0.753, 0.333, 0.744], [0.005, 0.611, 0.761], [0.005, 0.389, 0.261], [0.686, 0.568, 0.781], [0.505, 0.889, 0.261], [0.686, 0.432, 0.281], [0.251, 0.275, 0.495], [0.751, 0.775, 0.495], [0.251, 0.725, 0.995], [0.505, 0.111, 0.761], [0.751, 0.225, 0.995], [0.186, 0.932, 0.281], [0.186, 0.068, 0.781], [0.105, 0.259, 0.062], [0.605, 0.759, 0.062], [0.105, 0.741, 0.562], [0.605, 0.241, 0.562], [0.002, 0.044, 0.257], [0.502, 0.544, 0.257], [0.002, 0.956, 0.757], [0.852, 0.391, 0.759], [0.352, 0.891, 0.759], [0.852, 0.609, 0.259], [0.352, 0.109, 0.259], [0.502, 0.456, 0.757], [0.398, 0.256, 0.943], [0.398, 0.744, 0.443], [0.898, 0.244, 0.443], [0.898, 0.756, 0.943], [0.646, 0.101, 0.248], [0.146, 0.601, 0.248], [0.146, 0.399, 0.748], [0.646, 0.899, 0.748]]}

=====

Entry 2:
{"formula": "Fe13Mo9", "functional": "PBE", "state": "relaxed", "formation_enthalpy_0k_ev_per_atom": -0.004, "space_group": "No. 12", "final_energy_ev_per_atom": -9.45, "cell": [[2.348, 10.759, 0.000], [-2.348, 10.759, 0.000], [0.000, 4.657, 10.948]], "species": ["Fe", "Fe", "Fe", "Fe", "Fe", "Fe", "Fe", "Fe", "Fe", "Fe", "Fe", "Fe", "Fe", "Fe", "Fe", "Fe", "Fe", "Fe", "Fe", "Fe", "Fe", "Fe", "Fe", "Fe", "Fe", "Fe", "Mo", "Mo", "Mo", "Mo", "Mo", "Mo", "Mo", "Mo", "Mo", "Mo", "Mo", "Mo", "Mo", "Mo", "Mo", "Mo", "Mo", "Mo"], "frac_coords": [[0.792, 0.304, 0.216], [0.409, 0.907, 0.434], [0.907, 0.409, 0.434], [0.896, 0.896, 0.672], [0.121, 0.598, 0.210], [0.149, 0.149, 0.112], [0.696, 0.208, 0.784], [0.598, 0.121, 0.210], [0.953, 0.953, 0.217], [0.591, 0.093, 0.566], [0.208, 0.696, 0.784], [0.093, 0.591, 0.566], [0.402, 0.879, 0.790], [0.847, 0.847, 0.392], [0.153, 0.153, 0.608], [0.197, 0.197, 0.888], [0.104, 0.104, 0.328], [0.757, 0.757, 0.330], [0.851, 0.851, 0.888], [0.047, 0.047, 0.783], [0.803, 0.803, 0.112], [0.000, 0.500, 0.000], [0.304, 0.792, 0.216], [0.243, 0.243, 0.670], [0.879, 0.402, 0.790], [0.500, 0.000, 0.000], [0.669, 0.669, 0.208], [0.936, 0.936, 0.000], [0.064, 0.064, 0.000], [0.759, 0.759, 0.782], [0.968, 0.968, 0.422], [0.331, 0.331, 0.792], [0.277, 0.277, 0.425], [0.523, 0.523, 0.887], [0.554, 0.554, 0.409], [0.241, 0.241, 0.218], [0.723, 0.723, 0.575], [0.420, 0.420, 0.358], [0.365, 0.365, 0.998], [0.580, 0.580, 0.642], [0.635, 0.635, 0.002], [0.032, 0.032, 0.578], [0.477, 0.477, 0.113], [0.446, 0.446, 0.591]]}

=====

Entry 3:
{"formula": "Np3Si2", "functional": "PBE", "state": "relaxed", "formation_enthalpy_0k_ev_per_atom": 0.232, "space_group": "No. 127", "final_energy_ev_per_atom": -9.74, "cell": [[-4.822, -1.564, 4.884], [4.605, -4.271, 3.179], [1.233, 2.935, 2.157]], "species": ["Np", "Np", "Np", "Np", "Np", "Np", "Si", "Si", "Si", "Si"], "frac_coords": [[0.816, 0.684, 0.500], [0.184, 0.316, 0.500], [0.684, 0.184, 0.500], [0.316, 0.816, 0.500], [0.000, 0.000, 0.000], [0.500, 0.500, 0.000], [0.384, 0.116, 0.000], [0.616, 0.884, 0.000], [0.116, 0.616, 0.000], [0.884, 0.384, 0.000]]}

=====

Entry 4:
{"formula": "CaBO3", "functional": "PBE", "state": "relaxed", "formation_enthalpy_0k_ev_per_atom": -2.816, "space_group": "No. 14", "final_energy_ev_per_atom": -7.11, "cell": [[-6.277, -6.608, -2.459], [2.623, -1.804, -1.848], [3.803, -5.413, 4.836]], "species": ["Ca", "Ca", "Ca", "Ca", "O", "O", "O", "O", "O", "O", "O", "O", "O", "O", "O", "O", "B", "B", "B", "B"], "frac_coords": [[0.996, 0.072, 0.213], [0.004, 0.928, 0.787], [0.496, 0.928, 0.287], [0.504, 0.072, 0.713], [0.118, 0.687, 0.074], [0.355, 0.499, 0.197], [0.618, 0.313, 0.426], [0.338, 0.975, 0.936], [0.645, 0.501, 0.803], [0.162, 0.975, 0.436], [0.145, 0.499, 0.697], [0.838, 0.025, 0.564], [0.382, 0.687, 0.574], [0.855, 0.501, 0.303], [0.662, 0.025, 0.064], [0.882, 0.313, 0.926], [0.239, 0.712, 0.568], [0.761, 0.288, 0.432], [0.739, 0.288, 0.932], [0.261, 0.712, 0.068]]}

=====

Entry 5:
{"formula": "TaTiNi6", "functional": "PBE", "state": "relaxed", "formation_enthalpy_0k_ev_per_atom": -0.411, "space_group": "No. 187", "final_energy_ev_per_atom": -7.22, "cell": [[2.563, -4.439, 0.000], [2.563, 4.439, 0.000], [0.000, 0.000, 4.229]], "species": ["Ni", "Ni", "Ni", "Ni", "Ni", "Ni", "Ta", "Ti"], "frac_coords": [[0.164, 0.836, 0.500], [0.324, 0.162, 0.000], [0.838, 0.676, 0.000], [0.838, 0.162, 0.000], [0.673, 0.836, 0.500], [0.164, 0.327, 0.500], [0.667, 0.333, 0.500], [0.333, 0.667, 0.000]]}

=====

Entry 6:
{"formula": "VPt3", "functional": "PBE", "state": "relaxed", "formation_enthalpy_0k_ev_per_atom": -0.288, "space_group": "No. 166", "final_energy_ev_per_atom": -7.11, "cell": [[9.130, -1.385, 0.000], [9.130, 1.385, 0.000], [8.920, 0.000, 2.390]], "species": ["Pt", "Pt", "Pt", "V"], "frac_coords": [[0.500, 0.500, 0.500], [0.256, 0.256, 0.256], [0.744, 0.744, 0.744], [0.000, 0.000, 0.000]]}

=====

Entry 7:
{"formula": "Er2TlZn", "functional": "PBE", "state": "relaxed", "formation_enthalpy_0k_ev_per_atom": -0.319, "space_group": "No. 225", "final_energy_ev_per_atom": -3.51, "cell": [[0.000, 3.652, 3.652], [3.652, 0.000, 3.652], [3.652, 3.652, 0.000]], "species": ["Tl", "Er", "Er", "Zn"], "frac_coords": [[0.500, 0.500, 0.500], [0.750, 0.750, 0.750], [0.250, 0.250, 0.250], [0.000, 0.000, 0.000]]}

=====

Entry 8:
{"formula": "HoRhO3", "functional": "PBE", "state": "relaxed", "formation_enthalpy_0k_ev_per_atom": -2.590, "space_group": "No. 62", "final_energy_ev_per_atom": -7.54, "cell": [[-1.396, -3.281, -3.894], [5.574, -0.807, -1.318], [0.297, -5.903, 4.867]], "species": ["O", "O", "O", "O", "O", "O", "O", "O", "O", "O", "O", "O", "Ho", "Ho", "Ho", "Ho", "Rh", "Rh", "Rh", "Rh"], "frac_coords": [[0.637, 0.555, 0.250], [0.137, 0.945, 0.750], [0.178, 0.690, 0.435], [0.322, 0.190, 0.435], [0.322, 0.190, 0.065], [0.822, 0.310, 0.935], [0.822, 0.310, 0.565], [0.863, 0.055, 0.250], [0.678, 0.810, 0.935], [0.363, 0.445, 0.750], [0.678, 0.810, 0.565], [0.178, 0.690, 0.065], [0.031, 0.416, 0.250], [0.969, 0.584, 0.750], [0.531, 0.084, 0.750], [0.469, 0.916, 0.250], [0.500, 0.500, 0.500], [0.000, 0.000, 0.500], [0.000, 0.000, 0.000], [0.500, 0.500, 0.000]]}

=====

Entry 9:
{"formula": "La2TiZnO6", "functional": "PBE", "state": "relaxed", "formation_enthalpy_0k_ev_per_atom": -3.399, "space_group": "No. 14", "final_energy_ev_per_atom": -7.86, "polymorph_energy_ev_per_atom": 0.000, "cell": [[5.707, 0.000, 0.000], [0.000, 5.602, 0.000], [0.000, 5.594, 7.957]], "species": ["O", "O", "O", "O", "O", "O", "O", "O", "O", "O", "O", "O", "Zn", "Zn", "Ti", "Ti", "La", "La", "La", "La"], "frac_coords": [[0.302, 0.736, 0.546], [0.474, 0.170, 0.740], [0.698, 0.264, 0.454], [0.717, 0.647, 0.050], [0.217, 0.353, 0.450], [0.974, 0.830, 0.760], [0.026, 0.170, 0.240], [0.283, 0.353, 0.950], [0.526, 0.830, 0.260], [0.802, 0.264, 0.954], [0.198, 0.736, 0.046], [0.783, 0.647, 0.550], [0.000, 0.000, 0.500], [0.500, 0.000, 0.000], [0.000, 0.500, 0.000], [0.500, 0.500, 0.500], [0.545, 0.741, 0.749], [0.455, 0.259, 0.251], [0.045, 0.259, 0.751], [0.955, 0.741, 0.249]]}

=====

Entry 10:
{"formula": "NiNCl3", "functional": "PBE", "state": "relaxed", "formation_enthalpy_0k_ev_per_atom": 0.362, "space_group": "No. 194", "final_energy_ev_per_atom": -3.20, "cell": [[-0.892, 2.964, -5.460], [-3.352, -5.126, 1.373], [-3.994, 3.260, 2.423]], "species": ["Cl", "Cl", "Cl", "Cl", "Cl", "Cl", "N", "N", "Ni", "Ni"], "frac_coords": [[0.164, 0.836, 0.250], [0.836, 0.164, 0.750], [0.164, 0.328, 0.250], [0.672, 0.836, 0.250], [0.836, 0.672, 0.750], [0.328, 0.164, 0.750], [0.333, 0.667, 0.750], [0.667, 0.333, 0.250], [0.000, 0.000, 0.000], [0.000, 0.000, 0.500]]}

=====

Entry 11:
{"formula": "Rb3DyCl6", "functional": "PBE", "state": "relaxed", "formation_enthalpy_0k_ev_per_atom": -2.450, "space_group": "No. 225", "final_energy_ev_per_atom": -3.95, "cell": [[0.000, 5.753, 5.753], [5.753, 0.000, 5.753], [5.753, 5.753, 0.000]], "species": ["Cl", "Cl", "Cl", "Cl", "Cl", "Cl", "Rb", "Rb", "Rb", "Dy"], "frac_coords": [[0.229, 0.771, 0.229], [0.229, 0.771, 0.771], [0.771, 0.229, 0.771], [0.229, 0.229, 0.771], [0.771, 0.229, 0.229], [0.771, 0.771, 0.229], [0.500, 0.500, 0.500], [0.250, 0.250, 0.250], [0.750, 0.750, 0.750], [0.000, 0.000, 0.000]]}

=====

Entry 12:
{"formula": "CeRhO3", "functional": "PBE", "state": "relaxed", "formation_enthalpy_0k_ev_per_atom": -2.554, "space_group": "No. 62", "final_energy_ev_per_atom": -7.77, "cell": [[5.420, 0.000, 0.000], [0.000, 6.017, 0.000], [0.000, 0.000, 7.726]], "species": ["O", "O", "O", "O", "O", "O", "O", "O", "O", "O", "O", "O", "Ce", "Ce", "Ce", "Ce", "Rh", "Rh", "Rh", "Rh"], "frac_coords": [[0.138, 0.948, 0.750], [0.824, 0.310, 0.936], [0.324, 0.190, 0.436], [0.362, 0.448, 0.750], [0.676, 0.810, 0.564], [0.176, 0.690, 0.064], [0.176, 0.690, 0.436], [0.638, 0.552, 0.250], [0.862, 0.052, 0.250], [0.824, 0.310, 0.564], [0.324, 0.190, 0.064], [0.676, 0.810, 0.936], [0.531, 0.087, 0.750], [0.469, 0.913, 0.250], [0.031, 0.413, 0.250], [0.969, 0.587, 0.750], [0.500, 0.500, 0.000], [0.000, 0.000, 0.000], [0.500, 0.500, 0.500], [0.000, 0.000, 0.500]]}